Crystalline Li3MnSi6O15 at its relaxed geometry, computed with GGA+U.

Cell and atoms, written as CIF:
```
data_Li3MnSi6O15
_chemical_formula_sum 'Li12 Mn4 Si24 O60'
_space_group_name_H-M_alt 'P 1'
_space_group_IT_number 1
_cell_length_a 11.190
_cell_length_b 11.190
_cell_length_c 10.062
_cell_angle_alpha 90.00
_cell_angle_beta 90.00
_cell_angle_gamma 101.20
loop_
_space_group_symop_operation_xyz
'x,y,z'
loop_
_atom_site_label
_atom_site_type_symbol
_atom_site_fract_x
_atom_site_fract_y
_atom_site_fract_z
Li1 Li 0.238 0.238 0.000
Li2 Li 0.489 0.011 0.250
Li3 Li 0.011 0.489 0.750
Li4 Li 0.262 0.262 0.500
Li5 Li 0.068 0.932 0.772
Li6 Li 0.568 0.432 0.728
Li7 Li 0.432 0.568 0.272
Li8 Li 0.932 0.068 0.228
Li9 Li 0.738 0.738 0.500
Li10 Li 0.511 0.989 0.750
Li11 Li 0.989 0.511 0.250
Li12 Li 0.762 0.762 0.000
Mn1 Mn 0.160 0.340 0.250
Mn2 Mn 0.340 0.160 0.750
Mn3 Mn 0.840 0.660 0.750
Mn4 Mn 0.660 0.840 0.250
Si1 Si 0.188 0.040 0.197
Si2 Si 0.040 0.188 0.803
Si3 Si 0.312 0.460 0.697
Si4 Si 0.460 0.312 0.303
Si5 Si 0.520 0.260 0.008
Si6 Si 0.020 0.760 0.492
Si7 Si 0.260 0.520 0.992
Si8 Si 0.760 0.020 0.508
Si9 Si 0.201 0.580 0.458
Si10 Si 0.701 0.080 0.042
Si11 Si 0.080 0.701 0.958
Si12 Si 0.580 0.201 0.542
Si13 Si 0.420 0.799 0.458
Si14 Si 0.299 0.920 0.958
Si15 Si 0.920 0.299 0.042
Si16 Si 0.799 0.420 0.542
Si17 Si 0.740 0.480 0.008
Si18 Si 0.240 0.980 0.492
Si19 Si 0.480 0.740 0.992
Si20 Si 0.980 0.240 0.508
Si21 Si 0.540 0.688 0.697
Si22 Si 0.688 0.540 0.303
Si23 Si 0.960 0.812 0.197
Si24 Si 0.812 0.960 0.803
O1 O 0.281 0.008 0.083
O2 O 0.008 0.281 0.917
O3 O 0.028 0.261 0.662
O4 O 0.261 0.028 0.338
O5 O 0.150 0.168 0.165
O6 O 0.168 0.150 0.835
O7 O 0.257 0.097 0.588
O8 O 0.097 0.257 0.412
O9 O 0.646 0.010 0.173
O10 O 0.010 0.646 0.827
O11 O 0.146 0.510 0.327
O12 O 0.510 0.146 0.673
O13 O 0.243 0.403 0.088
O14 O 0.403 0.243 0.912
O15 O 0.350 0.332 0.665
O16 O 0.332 0.350 0.335
O17 O 0.239 0.472 0.838
O18 O 0.472 0.239 0.162
O19 O 0.492 0.219 0.417
O20 O 0.219 0.492 0.583
O21 O 0.109 0.663 0.519
O22 O 0.163 0.609 0.019
O23 O 0.663 0.109 0.481
O24 O 0.609 0.163 0.981
O25 O 0.602 0.398 0.984
O26 O 0.337 0.663 0.420
O27 O 0.059 0.941 0.203
O28 O 0.163 0.837 0.920
O29 O 0.102 0.898 0.516
O30 O 0.441 0.559 0.703
O31 O 0.398 0.602 0.016
O32 O 0.559 0.441 0.297
O33 O 0.663 0.337 0.580
O34 O 0.941 0.059 0.797
O35 O 0.837 0.163 0.080
O36 O 0.898 0.102 0.484
O37 O 0.891 0.337 0.481
O38 O 0.337 0.891 0.519
O39 O 0.391 0.837 0.019
O40 O 0.837 0.391 0.981
O41 O 0.508 0.781 0.583
O42 O 0.781 0.508 0.417
O43 O 0.528 0.761 0.838
O44 O 0.761 0.528 0.162
O45 O 0.668 0.650 0.665
O46 O 0.650 0.668 0.335
O47 O 0.597 0.757 0.088
O48 O 0.757 0.597 0.912
O49 O 0.354 0.990 0.827
O50 O 0.490 0.854 0.327
O51 O 0.990 0.354 0.173
O52 O 0.854 0.490 0.673
O53 O 0.743 0.903 0.412
O54 O 0.903 0.743 0.588
O55 O 0.850 0.832 0.835
O56 O 0.832 0.850 0.165
O57 O 0.739 0.972 0.662
O58 O 0.972 0.739 0.338
O59 O 0.719 0.992 0.917
O60 O 0.992 0.719 0.083
```

energy of formation from the pure elements = -73.87 eV/f.u.
total magnetic moment = 16.0 Bohr magnetons per cell
space-group type = Cmce (64)
corrected total energy (MP2020 scheme) = -7.82 eV/atom

=====

Crystalline BaYFe2O5 at its relaxed geometry, computed with GGA+U.

Cell and atoms, written as CIF:
```
data_BaYFe2O5
_chemical_formula_sum 'Ba1 Y1 Fe2 O5'
_space_group_name_H-M_alt 'P 1'
_space_group_IT_number 1
_cell_length_a 3.983
_cell_length_b 3.984
_cell_length_c 7.611
_cell_angle_alpha 90.00
_cell_angle_beta 90.00
_cell_angle_gamma 90.00
loop_
_space_group_symop_operation_xyz
'x,y,z'
loop_
_atom_site_label
_atom_site_type_symbol
_atom_site_fract_x
_atom_site_fract_y
_atom_site_fract_z
Ba1 Ba 0.000 0.000 0.000
Y1 Y 0.000 0.000 0.500
Fe1 Fe 0.500 0.500 0.268
Fe2 Fe 0.500 0.500 0.732
O1 O 0.500 0.000 0.314
O2 O 0.500 0.000 0.686
O3 O 0.000 0.500 0.314
O4 O 0.000 0.500 0.686
O5 O 0.500 0.500 0.000
```

energy of formation from the pure elements = -22.90 eV/f.u.
offset from the most stable computed form = 7 meV per atom
total magnetic moment = 9.0 Bohr magnetons per cell
space-group type = P4/mmm (123)
corrected total energy (MP2020 scheme) = -8.11 eV/atom

=====

Crystalline CaCr2P2O8 at its relaxed geometry, computed with GGA+U.

Cell and atoms, written as CIF:
```
data_CaCr2P2O8
_chemical_formula_sum 'Ca4 Cr8 P8 O32'
_space_group_name_H-M_alt 'P 1'
_space_group_IT_number 1
_cell_length_a 9.183
_cell_length_b 9.183
_cell_length_c 17.049
_cell_angle_alpha 62.25
_cell_angle_beta 62.25
_cell_angle_gamma 32.20
loop_
_space_group_symop_operation_xyz
'x,y,z'
loop_
_atom_site_label
_atom_site_type_symbol
_atom_site_fract_x
_atom_site_fract_y
_atom_site_fract_z
Ca1 Ca 0.470 0.831 0.862
Ca2 Ca 0.169 0.530 0.638
Ca3 Ca 0.831 0.470 0.362
Ca4 Ca 0.530 0.169 0.138
Cr1 Cr 0.159 0.645 0.963
Cr2 Cr 0.355 0.841 0.537
Cr3 Cr 0.841 0.355 0.037
Cr4 Cr 0.500 0.000 0.000
Cr5 Cr 0.645 0.159 0.463
Cr6 Cr 0.692 0.308 0.250
Cr7 Cr 0.308 0.692 0.750
Cr8 Cr 0.000 0.500 0.500
P1 P 0.052 0.514 0.867
P2 P 0.769 0.199 0.608
P3 P 0.948 0.486 0.133
P4 P 0.199 0.769 0.108
P5 P 0.514 0.052 0.367
P6 P 0.486 0.948 0.633
P7 P 0.231 0.801 0.392
P8 P 0.801 0.231 0.892
O1 O 0.698 0.805 0.105
O2 O 0.825 0.342 0.926
O3 O 0.805 0.698 0.605
O4 O 0.806 0.348 0.532
O5 O 0.193 0.361 0.052
O6 O 0.558 0.351 0.689
O7 O 0.652 0.194 0.968
O8 O 0.893 0.066 0.132
O9 O 0.194 0.652 0.468
O10 O 0.658 0.175 0.574
O11 O 0.873 0.375 0.143
O12 O 0.607 0.952 0.285
O13 O 0.175 0.658 0.074
O14 O 0.066 0.893 0.632
O15 O 0.302 0.195 0.895
O16 O 0.127 0.625 0.857
O17 O 0.952 0.607 0.785
O18 O 0.348 0.806 0.032
O19 O 0.375 0.873 0.643
O20 O 0.393 0.048 0.715
O21 O 0.934 0.107 0.368
O22 O 0.361 0.193 0.552
O23 O 0.107 0.934 0.868
O24 O 0.351 0.558 0.189
O25 O 0.342 0.825 0.426
O26 O 0.195 0.302 0.395
O27 O 0.048 0.393 0.215
O28 O 0.639 0.807 0.448
O29 O 0.807 0.639 0.948
O30 O 0.649 0.442 0.811
O31 O 0.442 0.649 0.311
O32 O 0.625 0.127 0.357
```

energy of formation from the pure elements = -35.80 eV/f.u.
total magnetic moment = 32.0 Bohr magnetons per cell
space-group type = C2/c (15)
corrected total energy (MP2020 scheme) = -8.27 eV/atom